Below is crystalline NdLuSe3 at its relaxed geometry, with properties calculated at the PBE level.

The structure in POSCAR format:
```
NdLuSe3
1.0
2.015 -6.563 0.000
2.015 6.563 0.000
0.000 0.000 9.968
Se Lu Nd
6 2 2
Cartesian
2.015 -1.881 5.603 Se
2.015 5.425 2.492 Se
2.015 -5.425 7.476 Se
2.015 1.881 0.619 Se
2.015 1.881 4.365 Se
2.015 -1.881 9.349 Se
0.000 0.000 0.000 Lu
0.000 0.000 4.984 Lu
2.015 3.260 7.476 Nd
2.015 -3.260 2.492 Nd
```

Computed properties:
The value obtained for the electronic total energy is -5.8259 eV per atom. Its space group is Cmcm (63). As for the formation energy: -10.769 eV/f.u.